(1)
Density functional theory data (PBE) for a relaxed structure of Na6Ta3InSi6O24.

Lattice parameters (Å, degrees): 9.106 9.107 22.407 90.01 90.03 119.92
Element x y z (fractional)
Si 0.341 0.381 0.417
Si 0.963 0.334 0.586
Si 0.961 0.629 0.083
Si 0.665 0.037 0.083
Si 0.668 0.629 0.586
Si 0.038 0.375 0.916
Si 0.706 0.707 0.253
Si 0.335 0.960 0.916
Si 0.283 0.288 0.751
Si 0.004 0.715 0.752
Si 0.711 0.995 0.750
Si 0.002 0.294 0.252
Si 0.041 0.661 0.417
Si 0.371 0.040 0.585
Si 0.373 0.336 0.084
Si 0.294 0.000 0.252
Si 0.620 0.959 0.418
Si 0.625 0.664 0.915
O 0.134 0.636 0.356
O 0.506 0.146 0.924
O 0.139 0.495 0.857
O 0.154 0.494 0.575
O 0.982 0.819 0.089
O 0.473 0.162 0.526
O 0.807 0.980 0.418
O 0.022 0.828 0.418
O 0.521 0.820 0.754
O 0.330 0.490 0.472
O 0.499 0.862 0.358
O 0.508 0.642 0.855
O 0.333 0.492 0.074
O 0.856 0.485 0.423
O 0.814 0.839 0.197
O 0.831 0.010 0.807
O 0.697 0.171 0.029
O 0.155 0.474 0.974
O 0.502 0.847 0.072
O 0.837 0.529 0.752
O 0.174 0.195 0.418
O 0.686 0.524 0.528
O 0.295 0.817 0.254
O 0.183 0.159 0.088
O 0.508 0.665 0.576
O 0.156 0.661 0.074
O 0.170 0.977 0.194
O 0.965 0.154 0.587
O 0.315 0.842 0.974
O 0.807 0.776 0.315
O 0.518 0.681 0.970
O 0.520 0.845 0.476
O 0.164 0.676 0.472
O 0.839 0.818 0.587
O 0.991 0.818 0.809
O 0.363 0.497 0.356
O 0.842 0.325 0.246
O 0.180 0.703 0.754
O 0.019 0.187 0.911
O 0.467 0.368 0.147
O 0.690 0.162 0.751
O 0.523 0.707 0.253
O 0.161 0.192 0.693
O 0.969 0.190 0.313
O 0.843 0.031 0.090
O 0.812 0.833 0.911
O 0.852 0.359 0.922
O 0.516 0.370 0.421
O 0.896 0.367 0.648
O 0.677 0.519 0.246
O 0.617 0.098 0.144
O 0.800 0.971 0.689
O 0.484 0.158 0.247
O 0.027 0.194 0.194
O 0.835 0.525 0.027
O 0.184 0.479 0.253
O 0.187 0.028 0.588
O 0.167 0.980 0.912
O 0.348 0.850 0.574
O 0.183 0.172 0.809
O 0.833 0.310 0.529
O 0.632 0.147 0.422
O 0.900 0.518 0.144
O 0.026 0.836 0.693
O 0.487 0.105 0.644
O 0.357 0.862 0.857
O 0.296 0.477 0.754
O 0.639 0.493 0.923
O 0.221 0.031 0.314
O 0.633 0.527 0.648
O 0.469 0.306 0.750
O 0.477 0.305 0.030
Na 0.667 0.333 0.325
Na 0.025 0.340 0.082
Na 0.662 0.971 0.588
Na 0.713 0.678 0.412
Na 0.985 0.624 0.243
Na 0.324 0.036 0.411
Na 0.963 0.286 0.411
Na 0.630 0.620 0.745
Na 0.987 0.368 0.746
Na 0.351 0.667 0.162
Na 0.986 0.987 0.997
Na 0.374 0.358 0.243
Na 0.312 0.976 0.082
Na 0.382 0.011 0.746
Na 0.010 0.001 0.500
Na 0.317 0.650 0.664
Na 0.641 0.017 0.244
Na 0.667 0.332 0.833
Ta 0.667 0.335 0.978
Ta 0.003 0.000 0.644
Ta 0.331 0.663 0.522
Ta 0.336 0.666 0.017
Ta 0.001 0.001 0.858
Ta 0.998 0.997 0.146
Ta 0.666 0.335 0.482
Ta 0.334 0.667 0.813
Ta 0.333 0.667 0.311
In 0.668 0.335 0.685
In 0.000 0.000 0.353
In 0.665 0.334 0.180

Summary:
- E_form: -287 kJ per mole of atoms
- E (MP2020): -7.91 eV/atom
- Size of the total moment: 0.0000 μB/atom

=====

(2)
Density functional theory data (PBE) for a relaxed structure of EuSnPd.

Lattice parameters (Å, degrees): 4.735 7.572 8.128 90.00 90.00 90.00
Element x y z (fractional)
Sn 0.250 0.165 0.926
Sn 0.250 0.665 0.574
Sn 0.750 0.335 0.426
Sn 0.750 0.835 0.074
Eu 0.250 0.523 0.185
Eu 0.250 0.023 0.315
Eu 0.750 0.977 0.685
Eu 0.750 0.477 0.815
Pd 0.250 0.792 0.894
Pd 0.750 0.708 0.394
Pd 0.250 0.292 0.606
Pd 0.750 0.208 0.106

Summary:
- E_form: -79 kJ per mole of atoms

=====

(3)
Density functional theory data (PBE) for a relaxed structure of Dy2Fe17C.

Lattice parameters (Å, degrees): 6.440 6.440 6.412 83.34 83.34 83.63
Element x y z (fractional)
Fe 0.290 0.000 0.710
Fe 0.903 0.903 0.903
Fe 0.000 0.710 0.290
Fe 0.657 0.657 0.151
Fe 0.097 0.097 0.097
Fe 0.000 0.500 0.000
Fe 0.285 0.715 0.000
Fe 0.715 0.285 0.000
Fe 0.343 0.343 0.849
Fe 0.657 0.151 0.656
Fe 0.000 0.000 0.500
Fe 0.000 0.290 0.710
Fe 0.710 0.000 0.290
Fe 0.849 0.343 0.344
Fe 0.343 0.849 0.344
Fe 0.151 0.657 0.656
Fe 0.500 0.000 0.000
C 0.500 0.500 0.000
Dy 0.660 0.660 0.652
Dy 0.340 0.340 0.348

Summary:
- E_form: -3 kJ per mole of atoms
- Size of the total moment: 1.8677 μB/atom

=====

(4)
Density functional theory data (PBE) for a relaxed structure of AgBrO4.

Lattice parameters (Å, degrees): 5.928 7.394 8.461 90.00 90.00 90.00
Element x y z (fractional)
Br 0.750 0.827 0.474
Br 0.250 0.327 0.026
Br 0.750 0.673 0.974
Br 0.250 0.173 0.526
O 0.250 0.104 0.338
O 0.512 0.703 0.446
O 0.012 0.297 0.554
O 0.512 0.797 0.946
O 0.988 0.703 0.446
O 0.750 0.499 0.850
O 0.012 0.203 0.054
O 0.750 0.604 0.162
O 0.250 0.999 0.650
O 0.750 0.896 0.662
O 0.750 0.001 0.350
O 0.250 0.501 0.150
O 0.988 0.797 0.946
O 0.488 0.297 0.554
O 0.250 0.396 0.838
O 0.488 0.203 0.054
Ag 0.750 0.332 0.310
Ag 0.250 0.832 0.190
Ag 0.250 0.668 0.690
Ag 0.750 0.168 0.810

Summary:
- E_form: -16 kJ per mole of atoms
- E (MP2020): -4.21 eV/atom
- Size of the total moment: 0.0002 μB/atom

=====

(5)
Density functional theory data (PBE) for a relaxed structure of ZrTaNO.

Lattice parameters (Å, degrees): 3.670 3.670 4.555 90.00 90.00 120.00
Element x y z (fractional)
Ta 0.000 0.000 0.500
N 0.333 0.667 0.500
O 0.000 0.000 0.000
Zr 0.667 0.333 0.000

Summary:
- E_form: -125 kJ per mole of atoms
- E (MP2020): -9.72 eV/atom
- Size of the total moment: 0.0005 μB/atom

=====

(6)
Density functional theory data (PBE) for a relaxed structure of NaTl3.

Lattice parameters (Å, degrees): 6.086 6.086 6.086 133.04 133.04 68.59
Element x y z (fractional)
Tl 0.500 0.500 0.000
Tl 0.750 0.250 0.500
Tl 0.250 0.750 0.500
Na 0.000 0.000 0.000

Summary:
- E_form: -8 kJ per mole of atoms